# 1
Computed, not measured: a geometry-optimized Na5Y3Si3GeS3O24 structure at the PBE level of DFT.

The value obtained for the total energy after the MP2020 corrections is -848.0 eV/cell. The value obtained for the formation energy is -2.682 eV/atom. For the spin magnetization, the calculation gives 0.00 μB per atom.

```
data_Na5Y3Si3GeS3O24
_chemical_formula_sum 'Na15 Y9 Si9 Ge3 S9 O72'
_space_group_name_H-M_alt 'P 1'
_space_group_IT_number 1
_space_group_name_Hall 'P 1'
_cell_length_a 9.1836
_cell_length_b 9.2746
_cell_length_c 23.1688
_cell_angle_alpha 88.06
_cell_angle_beta 87.30
_cell_angle_gamma 60.64
loop_
_atom_site_label
_atom_site_type_symbol
_atom_site_fract_x
_atom_site_fract_y
_atom_site_fract_z
Na1 Na 0.0000 0.0000 0.0000
Na2 Na 0.0109 0.0000 0.5069
Na3 Na 0.0315 0.6872 0.0684
Na4 Na 0.0494 0.6421 0.7618
Na5 Na 0.3199 0.6565 0.9199
Na6 Na 0.3336 0.3159 0.8283
Na7 Na 0.3664 0.6932 0.5874
Na8 Na 0.3809 0.2638 0.3445
Na9 Na 0.3891 0.9660 0.0971
Na10 Na 0.4014 0.6498 0.2421
Na11 Na 0.6670 0.9907 0.2562
Na12 Na 0.6920 0.6563 0.1632
Na13 Na 0.6936 0.3503 0.7378
Na14 Na 0.7154 0.6397 0.6691
Na15 Na 0.7422 0.9746 0.5803
Y1 Y 0.0384 0.9921 0.3633
Y2 Y 0.0465 0.0050 0.6528
Y3 Y 0.0532 0.9878 0.1495
Y4 Y 0.0525 0.9928 0.8511
Y5 Y 0.3801 0.3260 0.9864
Y6 Y 0.3840 0.3217 0.4852
Y7 Y 0.3920 0.3141 0.1812
Y8 Y 0.7026 0.6682 0.3227
Y9 Y 0.7218 0.6512 0.8157
Si1 Si 0.0650 0.2925 0.7485
Si2 Si 0.0713 0.6302 0.5853
Si3 Si 0.3461 0.9935 0.2510
Si4 Si 0.3503 0.6843 0.7492
Si5 Si 0.3950 0.6277 0.0820
Si6 Si 0.6605 0.3431 0.5851
Si7 Si 0.6865 0.0108 0.0846
Si8 Si 0.7137 0.9366 0.4258
Si9 Si 0.9990 0.6656 0.9214
Ge1 Ge 0.3348 0.3957 0.6845
Ge2 Ge 0.6970 0.6948 0.0210
Ge3 Ge 0.7530 0.6356 0.5287
S1 S 0.0509 0.6879 0.2535
S2 S 0.0616 0.3433 0.0874
S3 S 0.3951 0.0191 0.5881
S4 S 0.4035 0.6621 0.4231
S5 S 0.4184 0.9460 0.9248
S6 S 0.7192 0.3654 0.9227
S7 S 0.7333 0.0085 0.7529
S8 S 0.7421 0.2902 0.2545
S9 S 0.9936 0.3676 0.4266
O1 O 0.0097 0.2006 0.4267
O2 O 0.0241 0.8288 0.9262
O3 O 0.0301 0.7860 0.1991
O4 O 0.0345 0.8209 0.5880
O5 O 0.0375 0.1976 0.0940
O6 O 0.0531 0.7836 0.3029
O7 O 0.0964 0.1832 0.8084
O8 O 0.1498 0.5337 0.6480
O9 O 0.1538 0.3573 0.1365
O10 O 0.1590 0.3567 0.4263
O11 O 0.1623 0.3193 0.0334
O12 O 0.1841 0.5004 0.9259
O13 O 0.1943 0.5312 0.5330
O14 O 0.2109 0.5305 0.2501
O15 O 0.2289 0.9911 0.3057
O16 O 0.2339 0.7648 0.8084
O17 O 0.2382 0.8167 0.4241
O18 O 0.2428 0.8208 0.0864
O19 O 0.2448 0.2974 0.7331
O20 O 0.2515 0.9850 0.5901
O21 O 0.2548 0.9487 0.9256
O22 O 0.2599 0.7862 0.6916
O23 O 0.2675 0.9806 0.1901
O24 O 0.3446 0.5427 0.0319
O25 O 0.3513 0.4997 0.7467
O26 O 0.3765 0.1545 0.2534
O27 O 0.3783 0.5157 0.4211
O28 O 0.3834 0.1056 0.5327
O29 O 0.3958 0.1137 0.9258
O30 O 0.3976 0.1138 0.6371
O31 O 0.4248 0.5279 0.1441
O32 O 0.4934 0.6571 0.3670
O33 O 0.4964 0.6599 0.4731
O34 O 0.4992 0.8528 0.9805
O35 O 0.5203 0.3903 0.6444
O36 O 0.5206 0.8555 0.8747
O37 O 0.5353 0.8214 0.2522
O38 O 0.5422 0.1131 0.4274
O39 O 0.5460 0.6365 0.7532
O40 O 0.5528 0.8535 0.5892
O41 O 0.5617 0.3540 0.9251
O42 O 0.5706 0.3085 0.2533
O43 O 0.5726 0.6363 0.0673
O44 O 0.5750 0.1642 0.7510
O45 O 0.5794 0.0792 0.1458
O46 O 0.5793 0.1263 0.0321
O47 O 0.5827 0.3027 0.5322
O48 O 0.6659 0.5262 0.5745
O49 O 0.6949 0.8247 0.0785
O50 O 0.7071 0.8638 0.7608
O51 O 0.7122 0.4500 0.8666
O52 O 0.7199 0.8558 0.3632
O53 O 0.7221 0.4606 0.9718
O54 O 0.7228 0.4585 0.2566
O55 O 0.7226 0.8031 0.4825
O56 O 0.8221 0.1896 0.3064
O57 O 0.8316 0.0187 0.8008
O58 O 0.8328 0.9789 0.6977
O59 O 0.8377 0.2064 0.2016
O60 O 0.8400 0.1860 0.5971
O61 O 0.8666 0.1970 0.9223
O62 O 0.8774 0.6679 0.9816
O63 O 0.8792 0.9567 0.4321
O64 O 0.8798 0.9703 0.0867
O65 O 0.8852 0.6346 0.5840
O66 O 0.8953 0.4467 0.4822
O67 O 0.8991 0.4972 0.0857
O68 O 0.9048 0.4621 0.3755
O69 O 0.9073 0.6573 0.2576
O70 O 0.9103 0.6665 0.8630
O71 O 0.9169 0.4881 0.7549
O72 O 0.9993 0.2172 0.7004
```

# 2
Computed, not measured: a geometry-optimized Ac3Lu structure at the PBE level of DFT.

The value obtained for the formation energy is 0.074 eV/atom. For the spin magnetization, the calculation gives 0.00 μB per atom.

```
data_Ac3Lu
_chemical_formula_sum 'Ac6 Lu2'
_space_group_name_H-M_alt 'I 4/m m m'
_space_group_IT_number 139
_space_group_name_Hall '-I 4 2'
_cell_length_a 5.4677
_cell_length_b 5.4677
_cell_length_c 10.9549
_cell_angle_alpha 90.00
_cell_angle_beta 90.00
_cell_angle_gamma 90.00
loop_
_atom_site_label
_atom_site_type_symbol
_atom_site_fract_x
_atom_site_fract_y
_atom_site_fract_z
Ac1 Ac 0.0000 0.0000 0.0000
Ac2 Ac 0.0000 0.5000 0.2500
Lu1 Lu 0.0000 0.0000 0.5000
```

# 3
Computed, not measured: a geometry-optimized K2SO4 structure at the PBE level of DFT.

The value obtained for the total energy after the MP2020 corrections is -168.0 eV/cell. The value obtained for the formation energy is -2.264 eV/atom. The calculation puts the excess energy over the best structure of this formula in the dataset at 0.100 eV/f.u.

```
data_K2SO4
_chemical_formula_sum 'K8 S4 O16'
_space_group_name_H-M_alt 'C m c m'
_space_group_IT_number 63
_space_group_name_Hall '-C 2c 2'
_cell_length_a 6.0731
_cell_length_b 10.1796
_cell_length_c 7.9498
_cell_angle_alpha 90.00
_cell_angle_beta 90.00
_cell_angle_gamma 90.00
loop_
_atom_site_label
_atom_site_type_symbol
_atom_site_fract_x
_atom_site_fract_y
_atom_site_fract_z
K1 K 0.0000 0.0000 0.0000
K2 K 0.0000 0.3246 0.2500
S1 S 0.0000 0.3344 0.7500
O1 O 0.0000 0.2497 0.5979
O2 O 0.2006 0.4208 0.7500
```

# 4
Computed, not measured: a geometry-optimized Ba3Te2O9 structure at the PBE level of DFT.

The value obtained for the total energy after the MP2020 corrections is -180.0 eV/cell. The value obtained for the formation energy is -2.388 eV/atom.

```
data_Ba3Te2O9
_chemical_formula_sum 'Ba6 Te4 O18'
_space_group_name_H-M_alt 'P 63/m m c'
_space_group_IT_number 194
_space_group_name_Hall '-P 6c 2c'
_cell_length_a 5.9547
_cell_length_b 5.9547
_cell_length_c 14.6275
_cell_angle_alpha 90.00
_cell_angle_beta 90.00
_cell_angle_gamma 120.00
loop_
_atom_site_label
_atom_site_type_symbol
_atom_site_fract_x
_atom_site_fract_y
_atom_site_fract_z
Ba1 Ba 0.3333 0.6667 0.0598
Ba2 Ba 0.3333 0.6667 0.7500
Te1 Te 0.0000 0.0000 0.1502
O1 O 0.1430 0.2861 0.2500
O2 O 0.1637 0.3274 0.5919
```

# 5
Computed, not measured: a geometry-optimized Ba2CdOsO6 structure at the PBE level of DFT.

The value obtained for the total energy after the MP2020 corrections is -271.8 eV/cell. The value obtained for the formation energy is -2.227 eV/atom. For the spin magnetization, the calculation gives 0.20 μB per atom.

```
data_Ba2CdOsO6
_chemical_formula_sum 'Ba8 Cd4 Os4 O24'
_space_group_name_H-M_alt 'F m -3 m'
_space_group_IT_number 225
_space_group_name_Hall '-F 4 2 3'
_cell_length_a 8.4457
_cell_length_b 8.4457
_cell_length_c 8.4457
_cell_angle_alpha 90.00
_cell_angle_beta 90.00
_cell_angle_gamma 90.00
loop_
_atom_site_label
_atom_site_type_symbol
_atom_site_fract_x
_atom_site_fract_y
_atom_site_fract_z
Ba1 Ba 0.2500 0.2500 0.2500
Cd1 Cd 0.0000 0.0000 0.0000
Os1 Os 0.0000 0.0000 0.5000
O1 O 0.0000 0.0000 0.2697
```

# 6
Computed, not measured: a geometry-optimized Tb3P4Pd7 structure at the PBE level of DFT.

The value obtained for the formation energy is -1.000 eV/atom.

```
data_Tb3P4Pd7
_chemical_formula_sum 'Tb6 P8 Pd14'
_space_group_name_H-M_alt 'C 1 2/m 1'
_space_group_IT_number 12
_space_group_name_Hall '-C 2y'
_cell_length_a 15.4293
_cell_length_b 4.0218
_cell_length_c 9.4245
_cell_angle_alpha 90.00
_cell_angle_beta 125.57
_cell_angle_gamma 90.00
loop_
_atom_site_label
_atom_site_type_symbol
_atom_site_fract_x
_atom_site_fract_y
_atom_site_fract_z
Tb1 Tb 0.0000 0.0000 0.0000
Tb2 Tb 0.1806 0.5000 0.6777
P1 P 0.1060 0.0000 0.8200
P2 P 0.1594 0.5000 0.2542
Pd1 Pd 0.0000 0.0000 0.5000
Pd2 Pd 0.0098 0.5000 0.2832
Pd3 Pd 0.1676 0.0000 0.4207
Pd4 Pd 0.1947 0.5000 0.0295
```

# 7
Computed, not measured: a geometry-optimized Ba2Y5Cl19 structure at the PBE level of DFT.

The value obtained for the total energy after the MP2020 corrections is -282.8 eV/cell. The value obtained for the formation energy is -2.697 eV/atom. The calculation puts the excess energy over the best structure of this formula in the dataset at 0.408 eV/f.u. For the spin magnetization, the calculation gives 0.00 μB per atom.

```
data_Ba2Y5Cl19
_chemical_formula_sum 'Ba4 Y10 Cl38'
_space_group_name_H-M_alt 'P 1 21/c 1'
_space_group_IT_number 14
_space_group_name_Hall '-P 2ybc'
_cell_length_a 7.4477
_cell_length_b 9.3934
_cell_length_c 31.1222
_cell_angle_alpha 90.00
_cell_angle_beta 102.82
_cell_angle_gamma 90.00
loop_
_atom_site_label
_atom_site_type_symbol
_atom_site_fract_x
_atom_site_fract_y
_atom_site_fract_z
Ba1 Ba 0.1871 0.0192 0.2067
Y1 Y 0.0711 0.6675 0.0691
Y2 Y 0.3763 0.6407 0.8641
Y3 Y 0.5000 0.0000 0.0000
Cl1 Cl 0.0000 0.0000 0.5000
Cl2 Cl 0.1016 0.5359 0.8960
Cl3 Cl 0.1597 0.7317 0.6488
Cl4 Cl 0.1614 0.6848 0.3071
Cl5 Cl 0.2358 0.1780 0.9582
Cl6 Cl 0.2469 0.6290 0.5345
Cl7 Cl 0.3196 0.0586 0.3031
Cl8 Cl 0.3522 0.2435 0.6676
Cl9 Cl 0.3932 0.5324 0.0843
Cl10 Cl 0.4231 0.6625 0.4287
```

# 8
Computed, not measured: a geometry-optimized TmTc2W structure at the PBE level of DFT.

The value obtained for the formation energy is -0.046 eV/atom. For the spin magnetization, the calculation gives 0.00 μB per atom.

```
data_TmTc2W
_chemical_formula_sum 'Tm4 Tc8 W4'
_space_group_name_H-M_alt 'F m -3 m'
_space_group_IT_number 225
_space_group_name_Hall '-F 4 2 3'
_cell_length_a 6.4590
_cell_length_b 6.4590
_cell_length_c 6.4590
_cell_angle_alpha 90.00
_cell_angle_beta 90.00
_cell_angle_gamma 90.00
loop_
_atom_site_label
_atom_site_type_symbol
_atom_site_fract_x
_atom_site_fract_y
_atom_site_fract_z
Tm1 Tm 0.0000 0.0000 0.0000
Tc1 Tc 0.2500 0.2500 0.2500
W1 W 0.0000 0.0000 0.5000
```

# 9
Computed, not measured: a geometry-optimized Sr2MgCu3O5 structure at the PBE level of DFT.

The value obtained for the total energy after the MP2020 corrections is -63.1 eV/cell. The value obtained for the formation energy is -1.914 eV/atom. The calculation puts the excess energy over the best structure of this formula in the dataset at 0.000 eV/f.u. For the spin magnetization, the calculation gives 0.00 μB per atom.

```
data_Sr2MgCu3O5
_chemical_formula_sum 'Sr2 Mg1 Cu3 O5'
_space_group_name_H-M_alt 'P 1 2/m 1'
_space_group_IT_number 10
_space_group_name_Hall '-P 2y'
_cell_length_a 3.9246
_cell_length_b 3.2900
_cell_length_c 11.1860
_cell_angle_alpha 90.00
_cell_angle_beta 90.23
_cell_angle_gamma 90.00
loop_
_atom_site_label
_atom_site_type_symbol
_atom_site_fract_x
_atom_site_fract_y
_atom_site_fract_z
Sr1 Sr 0.0049 0.0000 0.1769
Mg1 Mg 0.0000 0.0000 0.5000
Cu1 Cu 0.4942 0.5000 0.6333
Cu2 Cu 0.5000 0.5000 0.0000
O1 O 0.0000 0.5000 0.0000
O2 O 0.0061 0.5000 0.3785
O3 O 0.4949 0.5000 0.8242
```

# 10
Computed, not measured: a geometry-optimized CsTm2Cu3Se5 structure at the PBE level of DFT.

The value obtained for the total energy after the MP2020 corrections is -216.3 eV/cell. The value obtained for the formation energy is -1.313 eV/atom. For the spin magnetization, the calculation gives 0.00 μB per atom.

```
data_CsTm2Cu3Se5
_chemical_formula_sum 'Cs4 Tm8 Cu12 Se20'
_space_group_name_H-M_alt 'C m c m'
_space_group_IT_number 63
_space_group_name_Hall '-C 2c 2'
_cell_length_a 4.1159
_cell_length_b 14.6809
_cell_length_c 17.2435
_cell_angle_alpha 90.00
_cell_angle_beta 90.00
_cell_angle_gamma 90.00
loop_
_atom_site_label
_atom_site_type_symbol
_atom_site_fract_x
_atom_site_fract_y
_atom_site_fract_z
Cs1 Cs 0.0000 0.0611 0.2500
Tm1 Tm 0.0000 0.1924 0.5916
Cu1 Cu 0.0000 0.3442 0.2500
Cu2 Cu 0.0000 0.4171 0.5330
Se1 Se 0.0000 0.1697 0.0698
Se2 Se 0.0000 0.2381 0.7500
Se3 Se 0.0000 0.4372 0.1122
```

# 11
Computed, not measured: a geometry-optimized Sr2O3 structure at the PBE level of DFT.

The value obtained for the total energy after the MP2020 corrections is -28.0 eV/cell. The value obtained for the formation energy is -1.949 eV/atom. For the spin magnetization, the calculation gives 0.40 μB per atom.

```
data_Sr2O3
_chemical_formula_sum 'Sr2 O3'
_space_group_name_H-M_alt 'P m -3 m'
_space_group_IT_number 221
_space_group_name_Hall '-P 4 2 3'
_cell_length_a 4.5777
_cell_length_b 4.5777
_cell_length_c 4.5777
_cell_angle_alpha 90.00
_cell_angle_beta 90.00
_cell_angle_gamma 90.00
loop_
_atom_site_label
_atom_site_type_symbol
_atom_site_fract_x
_atom_site_fract_y
_atom_site_fract_z
Sr1 Sr 0.0000 0.0000 0.0000
Sr2 Sr 0.5000 0.5000 0.5000
O1 O 0.0000 0.0000 0.5000
```

# 12
Computed, not measured: a geometry-optimized CuAsSe structure at the PBE level of DFT.

The value obtained for the total energy after the MP2020 corrections is -314.3 eV/cell. The value obtained for the formation energy is -0.281 eV/atom. For the spin magnetization, the calculation gives 0.00 μB per atom.

```
data_CuAsSe
_chemical_formula_sum 'Cu24 As24 Se24'
_space_group_name_H-M_alt 'P b c n'
_space_group_IT_number 60
_space_group_name_Hall '-P 2n 2ab'
_cell_length_a 11.8470
_cell_length_b 6.8707
_cell_length_c 19.5224
_cell_angle_alpha 90.00
_cell_angle_beta 90.00
_cell_angle_gamma 90.00
loop_
_atom_site_label
_atom_site_type_symbol
_atom_site_fract_x
_atom_site_fract_y
_atom_site_fract_z
Cu1 Cu 0.1674 0.1843 0.1392
Cu2 Cu 0.1686 0.4683 0.3047
Cu3 Cu 0.1709 0.1400 0.4707
As1 As 0.0152 0.0057 0.6841
As2 As 0.0173 0.3229 0.5170
As3 As 0.0165 0.3541 0.8538
Se1 Se 0.1667 0.1396 0.3472
Se2 Se 0.1668 0.1868 0.0155
Se3 Se 0.1669 0.4847 0.6814
```